A plane-wave DFT calculation with PBE was carried out for an optimized crystal structure of LaAgAs2.

CIF file:
```
data_LaAgAs2
_chemical_formula_sum 'La8 Ag8 As16'
_symmetry_space_group_name_H-M 'P b c m'
_symmetry_Int_Tables_number 57
_cell_length_a 6.156
_cell_length_b 21.433
_cell_length_c 5.955
_cell_angle_alpha 90.00
_cell_angle_beta 90.00
_cell_angle_gamma 90.00
loop_
_symmetry_equiv_pos_as_xyz
'x,y,z'
'-x,-y,-z'
'-x,-y,z+1/2'
'x,y,-z+1/2'
'x,-y+1/2,-z'
'-x,y+1/2,z'
'-x,y+1/2,-z+1/2'
'x,-y+1/2,z+1/2'
loop_
_atom_site_label
_atom_site_type_symbol
_atom_site_fract_x
_atom_site_fract_y
_atom_site_fract_z
La1 La 0.006 0.128 0.250
La2 La 0.478 0.133 0.750
Ag1 Ag 0.070 0.563 0.750
Ag2 Ag 0.263 0.750 0.000
As1 As 0.018 0.181 0.750
As2 As 0.292 0.007 0.538
As3 As 0.484 0.665 0.250
```

Output
As for the energy of formation from the pure elements: -677 meV/atom. Its calculated total energy is -4.95 eV per atom.